This record from Materials Project describes an optimized crystal structure of NdNi2As2. The functional is PBE.

Cell and atoms, written as POSCAR:
```
NdNi2As2
1.0
4.0972 0.0000 0.0000
0.0000 4.0972 0.0000
0.0000 0.0000 10.0703
Nd Ni As
2 4 4
direct
0.0000 0.0000 0.0000
0.5000 0.5000 0.5000
0.0000 0.5000 0.2500
0.0000 0.5000 0.7500
0.5000 0.0000 0.2500
0.5000 0.0000 0.7500
0.0000 0.0000 0.3678
0.0000 0.0000 0.6322
0.5000 0.5000 0.1322
0.5000 0.5000 0.8678
```

Properties
Its space group is I4/mmm. The calculation puts the formation energy at -77.0 kJ per mole of atoms. For the magnetization, the calculation gives 0.00 μB/cell. As for the calculated total energy: -0.4357 Ry/atom. Its density is 8.08 g/cm3.